1.
Below is a relaxed structure of SrCa7TiMn7O20, with properties calculated at the PBE+U level.

## Properties
- Total DFT energy (no corrections): -7.145 eV per atom
- Formation energy: -2.664 eV/atom
- Energy above the most stable polymorph in this dataset: 2.9 kJ/mol of atoms

```
SrCa7TiMn7O20
1.0
11.078 -0.028 -0.168
-0.036 15.562 -0.043
-0.165 -0.026 11.221
Sr Ca Ti Mn O
4 28 4 28 80
Direct
0.999 0.114 0.517
0.512 0.378 0.002
0.247 0.386 0.248
0.229 0.124 0.244
0.980 0.121 0.021
0.992 0.614 0.516
0.983 0.616 0.020
0.539 0.130 0.478
0.546 0.121 0.983
0.546 0.630 0.481
0.550 0.628 0.979
0.516 0.375 0.483
0.527 0.871 0.988
0.517 0.870 0.477
0.964 0.385 0.008
0.955 0.387 0.509
0.957 0.878 0.006
0.953 0.881 0.515
0.237 0.398 0.743
0.239 0.883 0.284
0.236 0.892 0.752
0.761 0.386 0.256
0.774 0.374 0.767
0.747 0.868 0.255
0.747 0.870 0.753
0.228 0.114 0.739
0.227 0.620 0.246
0.225 0.620 0.740
0.769 0.116 0.250
0.778 0.123 0.754
0.779 0.622 0.254
0.784 0.621 0.756
0.989 0.990 0.266
0.246 0.974 0.025
0.260 0.245 0.944
0.984 0.253 0.278
0.992 0.995 0.759
0.999 0.498 0.260
0.998 0.497 0.757
0.503 0.992 0.227
0.505 0.986 0.727
0.506 0.504 0.236
0.503 0.488 0.732
0.246 0.999 0.518
0.233 0.517 0.017
0.245 0.504 0.515
0.750 0.999 0.994
0.737 0.002 0.499
0.748 0.502 0.999
0.743 0.503 0.501
0.273 0.249 0.470
0.271 0.739 0.950
0.272 0.739 0.463
0.756 0.248 0.006
0.745 0.250 0.510
0.759 0.748 0.002
0.755 0.748 0.504
0.997 0.253 0.767
0.997 0.751 0.268
0.000 0.755 0.763
0.523 0.253 0.252
0.507 0.254 0.757
0.508 0.745 0.246
0.510 0.746 0.749
0.594 0.248 0.099
0.568 0.255 0.593
0.595 0.755 0.092
0.588 0.757 0.592
0.404 0.204 0.351
0.392 0.188 0.875
0.399 0.678 0.352
0.401 0.677 0.851
0.906 0.238 0.413
0.904 0.239 0.920
0.905 0.736 0.422
0.910 0.738 0.919
0.149 0.254 0.325
0.177 0.257 0.797
0.166 0.751 0.310
0.173 0.756 0.792
0.655 0.219 0.349
0.658 0.229 0.858
0.658 0.729 0.354
0.660 0.726 0.853
0.861 0.267 0.153
0.863 0.269 0.652
0.861 0.773 0.150
0.859 0.776 0.650
0.355 0.519 0.143
0.351 0.515 0.660
0.363 0.034 0.116
0.348 0.006 0.662
0.854 0.488 0.140
0.849 0.482 0.644
0.865 0.976 0.154
0.839 0.982 0.642
0.157 0.005 0.367
0.197 0.010 0.879
0.162 0.507 0.364
0.160 0.507 0.862
0.634 0.023 0.349
0.626 0.025 0.834
0.638 0.526 0.353
0.629 0.517 0.847
0.886 0.010 0.396
0.897 0.015 0.900
0.888 0.515 0.396
0.890 0.514 0.892
0.098 0.476 0.121
0.096 0.475 0.619
0.114 0.967 0.121
0.098 0.975 0.625
0.605 0.504 0.094
0.588 0.497 0.584
0.605 0.990 0.084
0.582 0.995 0.576
0.983 0.376 0.293
0.996 0.373 0.798
0.002 0.873 0.304
0.007 0.877 0.803
0.483 0.376 0.268
0.448 0.377 0.788
0.456 0.871 0.276
0.472 0.873 0.787
0.995 0.123 0.236
0.007 0.125 0.738
0.998 0.628 0.230
0.000 0.631 0.725
0.175 0.177 0.040
0.232 0.131 0.534
0.197 0.641 0.038
0.210 0.630 0.535
0.759 0.122 0.039
0.747 0.126 0.543
0.760 0.628 0.035
0.755 0.626 0.544
0.300 0.379 0.499
0.288 0.348 0.015
0.296 0.873 0.493
0.304 0.865 0.004
0.738 0.376 0.467
0.747 0.373 0.977
0.739 0.874 0.466
0.746 0.874 0.961
```

---

2.
Below is a relaxed structure of SrCaTiMnO6, with properties calculated at the PBE+U level.

## Properties
- Total DFT energy (no corrections): -7.455 eV per atom
- Formation energy: -2.990 eV/atom
- Energy above the most stable polymorph in this dataset: 3.0 kJ/mol of atoms

```
SrCaTiMnO6
1.0
-5.830 0.385 -5.094
4.906 -1.734 -5.745
-1.425 -7.543 1.060
Sr Ca Ti Mn O
4 4 4 4 24
Direct
0.753 0.246 0.247
0.247 0.247 0.246
0.246 0.753 0.247
0.754 0.754 0.754
0.754 0.246 0.754
0.246 0.246 0.754
0.754 0.754 0.246
0.246 0.754 0.754
0.500 0.000 0.503
0.500 0.500 0.998
0.000 0.500 0.503
0.500 0.500 0.502
0.000 0.000 0.999
0.500 0.000 0.999
0.000 0.000 0.502
0.000 0.500 0.999
0.000 0.250 0.993
0.500 0.247 0.995
0.000 0.247 0.505
0.500 0.249 0.504
0.000 0.750 0.999
0.500 0.753 0.999
0.000 0.753 0.501
0.500 0.751 0.501
0.997 0.997 0.250
0.502 0.998 0.247
0.003 0.003 0.750
0.498 0.002 0.753
0.998 0.502 0.247
0.501 0.501 0.249
0.002 0.498 0.753
0.499 0.499 0.751
0.750 0.000 0.999
0.250 0.000 0.993
0.753 0.000 0.501
0.247 0.000 0.505
0.753 0.500 0.999
0.247 0.500 0.995
0.751 0.500 0.501
0.249 0.500 0.504
```

---

3.
Below is a relaxed structure of SrCa7TiMn7O24, with properties calculated at the PBE+U level.

## Properties
- Total DFT energy (no corrections): -7.022 eV per atom
- Formation energy: -2.563 eV/atom
- Energy above the most stable polymorph in this dataset: 4.9 kJ/mol of atoms

```
SrCa7TiMn7O24
1.0
2.674 -1.136 -7.074
-3.291 -6.901 -0.137
-6.364 3.090 -2.904
Sr Ca Ti Mn O
1 7 1 7 24
Direct
0.248 0.248 0.248
0.752 0.248 0.752
0.752 0.248 0.248
0.752 0.752 0.752
0.752 0.752 0.248
0.248 0.248 0.752
0.248 0.752 0.752
0.248 0.752 0.248
0.501 0.501 0.501
0.501 0.999 0.999
0.501 0.000 0.501
0.501 0.501 0.000
0.999 0.999 0.999
0.999 0.999 0.501
0.999 0.501 0.999
0.000 0.501 0.501
0.750 0.000 0.000
0.750 0.000 0.500
0.750 0.500 0.000
0.753 0.501 0.501
0.250 0.997 0.997
0.250 0.997 0.503
0.250 0.503 0.997
0.247 0.503 0.503
0.503 0.250 0.997
0.503 0.247 0.503
0.500 0.750 0.000
0.501 0.753 0.501
0.997 0.250 0.997
0.997 0.250 0.503
0.000 0.750 0.000
0.000 0.750 0.500
0.500 0.000 0.750
0.503 0.997 0.250
0.501 0.501 0.753
0.503 0.503 0.247
0.000 0.000 0.750
0.997 0.997 0.250
0.000 0.500 0.750
0.997 0.503 0.250
```

---

4.
Below is a relaxed structure of SrCa7TiMn7O21, with properties calculated at the PBE+U level.

## Properties
- Total DFT energy (no corrections): -7.128 eV per atom
- Formation energy: -2.653 eV/atom
- Energy above the most stable polymorph in this dataset: 1.0 kJ/mol of atoms

```
SrCa7TiMn7O21
1.0
11.092 -0.041 -0.120
-0.055 15.523 -0.029
-0.117 -0.018 11.067
Sr Ca Ti Mn O
4 28 4 28 84
Direct
0.995 0.113 0.513
0.510 0.385 0.987
0.243 0.386 0.244
0.231 0.121 0.246
0.985 0.116 0.012
0.005 0.623 0.512
0.015 0.621 0.994
0.543 0.127 0.473
0.551 0.126 0.984
0.530 0.630 0.513
0.535 0.621 0.972
0.500 0.380 0.512
0.520 0.859 0.980
0.487 0.864 0.508
0.966 0.390 0.004
0.958 0.391 0.504
0.955 0.875 0.996
0.966 0.870 0.515
0.235 0.407 0.765
0.233 0.880 0.279
0.220 0.871 0.731
0.756 0.385 0.250
0.738 0.385 0.755
0.755 0.863 0.254
0.733 0.866 0.747
0.222 0.109 0.733
0.239 0.624 0.265
0.268 0.629 0.737
0.772 0.117 0.248
0.781 0.125 0.751
0.781 0.621 0.256
0.772 0.623 0.756
0.987 0.990 0.261
0.237 0.985 0.019
0.266 0.231 0.941
0.984 0.254 0.274
0.990 0.993 0.755
0.003 0.502 0.252
0.997 0.501 0.754
0.507 0.985 0.223
0.505 0.994 0.728
0.510 0.496 0.244
0.496 0.502 0.747
0.240 0.999 0.512
0.254 0.521 0.010
0.238 0.497 0.510
0.746 0.999 0.991
0.740 0.996 0.497
0.753 0.504 0.001
0.743 0.503 0.503
0.269 0.247 0.465
0.261 0.751 0.977
0.246 0.749 0.500
0.759 0.250 0.004
0.746 0.251 0.506
0.755 0.746 0.001
0.751 0.747 0.505
0.996 0.258 0.765
0.998 0.748 0.264
0.997 0.750 0.750
0.522 0.256 0.254
0.515 0.248 0.752
0.517 0.752 0.263
0.503 0.747 0.748
0.098 0.771 0.609
0.593 0.255 0.098
0.579 0.252 0.587
0.597 0.761 0.112
0.605 0.763 0.600
0.404 0.201 0.351
0.397 0.182 0.863
0.405 0.702 0.366
0.410 0.731 0.899
0.907 0.242 0.413
0.912 0.240 0.924
0.893 0.730 0.408
0.900 0.733 0.903
0.148 0.251 0.318
0.176 0.253 0.803
0.158 0.747 0.338
0.145 0.738 0.849
0.655 0.220 0.344
0.661 0.229 0.858
0.658 0.725 0.351
0.651 0.729 0.858
0.353 0.763 0.641
0.857 0.268 0.154
0.860 0.274 0.656
0.869 0.771 0.143
0.851 0.772 0.647
0.363 0.517 0.161
0.350 0.497 0.644
0.362 0.019 0.136
0.346 0.997 0.657
0.863 0.487 0.145
0.853 0.481 0.644
0.860 0.977 0.149
0.843 0.981 0.642
0.147 0.006 0.362
0.178 0.005 0.868
0.149 0.508 0.357
0.149 0.526 0.863
0.629 0.021 0.335
0.628 0.033 0.835
0.624 0.530 0.363
0.640 0.514 0.857
0.390 0.514 0.900
0.885 0.009 0.389
0.893 0.012 0.897
0.892 0.518 0.390
0.892 0.518 0.896
0.111 0.481 0.106
0.097 0.475 0.617
0.106 0.971 0.112
0.096 0.980 0.621
0.618 0.493 0.110
0.601 0.487 0.610
0.595 0.990 0.077
0.584 0.993 0.574
0.994 0.379 0.281
0.016 0.380 0.800
0.004 0.871 0.292
0.006 0.873 0.794
0.482 0.378 0.289
0.484 0.375 0.763
0.459 0.875 0.288
0.514 0.873 0.775
0.490 0.625 0.720
0.994 0.125 0.228
0.002 0.128 0.736
0.006 0.627 0.216
0.985 0.626 0.718
0.197 0.147 0.030
0.232 0.128 0.528
0.222 0.652 0.060
0.225 0.624 0.523
0.758 0.123 0.037
0.750 0.125 0.534
0.746 0.627 0.040
0.744 0.625 0.545
0.286 0.374 0.482
0.295 0.331 0.021
0.278 0.880 0.478
0.295 0.875 0.000
0.741 0.377 0.464
0.752 0.376 0.972
0.746 0.872 0.462
0.744 0.873 0.963
```

---

5.
Below is a relaxed structure of Sr3Ca5TiMn7O24, with properties calculated at the PBE+U level.

## Properties
- Total DFT energy (no corrections): -7.015 eV per atom
- Formation energy: -2.572 eV/atom

```
Sr3Ca5TiMn7O24
1.0
5.437 5.436 0.000
-5.437 5.436 0.000
0.000 0.001 7.685
Sr Ca Ti Mn O
3 5 1 7 24
Direct
0.248 0.752 0.752
0.752 0.752 0.752
0.752 0.248 0.752
0.247 0.753 0.247
0.753 0.753 0.247
0.247 0.247 0.753
0.247 0.247 0.247
0.753 0.247 0.247
0.498 0.498 0.495
0.001 0.499 0.002
0.499 0.499 0.001
0.000 0.499 0.498
0.001 0.001 0.002
0.499 0.001 0.002
0.001 0.001 0.498
0.499 0.000 0.498
0.001 0.750 0.008
0.499 0.750 0.008
0.001 0.750 0.492
0.499 0.753 0.494
0.004 0.250 0.005
0.496 0.250 0.005
0.004 0.250 0.495
0.498 0.247 0.496
0.004 0.496 0.750
0.498 0.498 0.753
0.001 0.499 0.250
0.499 0.499 0.247
0.004 0.004 0.750
0.496 0.004 0.750
0.001 0.001 0.250
0.499 0.001 0.250
0.250 0.496 0.005
0.750 0.499 0.008
0.247 0.498 0.496
0.753 0.499 0.494
0.250 0.004 0.005
0.750 0.001 0.008
0.250 0.004 0.495
0.750 0.001 0.492
```